[1]
Compound: LiHo6B3O14
Source: Materials Project
Functional: PBE-GGA
Structure: optimized geometry

```
LiHo6B3O14
1.0
-5.6874 9.8334 -10.6232
-0.1512 -6.1990 -5.6572
-8.3846 -8.0592 -2.9711
Li Ho B O
4 24 12 56
Cartesian
-7.2519 -3.0581 -12.7007 Li
-6.9713 -1.3668 -6.5508 Li
-1.1179 -0.2092 -1.9625 Li
-13.1054 -4.2156 -17.2890 Li
-7.3350 2.1972 -12.7592 Ho
-6.8883 -6.6221 -6.4924 Ho
-3.5163 -1.1741 -6.5391 Ho
-10.7069 -3.2507 -12.7125 Ho
-2.4687 -3.3434 -9.1959 Ho
-11.7545 -1.0815 -10.0556 Ho
-8.4265 4.4425 -10.1844 Ho
-5.7967 -8.8674 -9.0671 Ho
-5.7139 -5.1799 -9.8441 Ho
-8.5094 0.7550 -9.4074 Ho
-5.5239 6.8711 -10.1760 Ho
-8.6994 -11.2960 -9.0755 Ho
-5.3881 -1.3560 -10.0584 Ho
-8.8352 -3.0689 -9.1931 Ho
-1.9504 -3.6945 -2.6783 Ho
-12.2729 -0.7303 -16.5732 Ho
-3.4151 2.9797 -6.8872 Ho
-10.8081 -7.4046 -12.3643 Ho
-3.8163 -8.2152 -5.6497 Ho
-10.4069 3.7903 -13.6018 Ho
-5.2377 2.6556 -9.9011 Ho
-8.9856 -7.0804 -9.3505 Ho
-3.8369 -4.7044 -6.0785 Ho
-10.3864 0.2795 -13.1730 Ho
-5.0146 4.5406 -11.9433 B
-9.2087 -8.9655 -7.3083 B
-5.8922 -3.4217 -7.4585 B
-8.3311 -1.0032 -11.7930 B
-7.0225 3.7555 -15.5230 B
-7.2008 -8.1804 -3.7285 B
-5.8465 0.7560 -7.5439 B
-8.3768 -5.1809 -11.7076 B
-5.9432 -0.9105 -13.4397 B
-8.2801 -3.5144 -5.8119 B
-3.4388 -0.6068 -3.1141 B
-10.7844 -3.8180 -16.1374 B
-5.8944 0.4885 -13.5026 O
-8.3289 -4.9134 -5.7489 O
-4.1529 -0.8555 -4.2938 O
-10.0704 -3.5693 -14.9577 O
-7.7334 -4.5111 -10.6580 O
-6.4898 0.0862 -8.5936 O
-13.1449 0.3146 -14.6792 O
-1.0784 -4.7395 -4.5724 O
-4.3870 -3.4405 -10.4147 O
-9.8362 -0.9844 -8.8369 O
-7.5852 6.4016 -10.9773 O
-6.6380 -10.8265 -8.2743 O
-6.3208 2.7460 -14.8916 O
-7.9024 -7.1708 -4.3599 O
-5.5782 0.0887 -6.3637 O
-8.6450 -4.5135 -12.8879 O
-5.3466 5.6489 -12.6924 O
-8.8766 -10.0738 -6.5592 O
-6.5356 -2.8434 -8.5315 O
-7.6876 -1.5815 -10.7201 O
-5.2650 3.2283 -12.3017 O
-8.9583 -7.6532 -6.9498 O
-5.2810 -2.7332 -6.4261 O
-8.9423 -1.6917 -12.8254 O
-8.7296 -6.5013 -11.5535 O
-5.4936 2.0764 -7.6981 O
-11.9422 1.9478 -13.3979 O
-2.2811 -6.3726 -5.8536 O
-4.3915 0.6809 -10.6398 O
-9.8318 -5.1058 -8.6117 O
-3.9127 -4.0617 -3.9009 O
-10.3105 -0.3632 -15.3507 O
-9.1480 1.9460 -14.0328 O
-5.0752 -6.3709 -5.2188 O
-2.7082 0.8146 -7.1426 O
-11.5150 -5.2395 -12.1090 O
-3.5059 -1.3478 -8.8099 O
-10.7173 -3.0771 -10.4416 O
-8.3967 4.1886 -12.4520 O
-5.8265 -8.6135 -6.7995 O
-2.4527 -3.1923 -6.9197 O
-11.7706 -1.2326 -12.3318 O
-7.3711 2.4388 -10.4593 O
-6.8522 -6.8637 -8.7923 O
-3.3344 -5.4881 -8.4232 O
-10.8889 1.0632 -10.8283 O
-6.4147 4.6054 -8.8162 O
-7.8086 -9.0303 -10.4353 O
-5.2738 -1.5305 -12.3995 O
-8.9494 -2.8944 -6.8521 O
-3.1228 -1.6904 -2.3138 O
-11.1004 -2.7344 -16.9377 O
-4.4588 4.7497 -10.6889 O
-9.7644 -9.1746 -8.5626 O
-5.7693 -4.8040 -7.4454 O
-8.4539 0.3791 -11.8061 O
```

Summary:
Its formation energy is -3612 meV/atom. The calculated volume is 1155.8 Å³ per cell.

[2]
Compound: TiCl3
Source: Materials Project
Functional: PBE-GGA
Structure: optimized geometry

```
TiCl3
1.0
3.0274 -5.2878 0.0087
3.0274 5.2878 0.0087
0.0142 0.0000 6.8545
Ti Cl
2 6
Cartesian
3.0274 -1.8674 0.0087 Ti
3.0274 1.8674 0.0087 Ti
3.9608 0.0000 5.5476 Cl
2.1083 0.0000 1.3243 Cl
4.0941 -3.4284 5.4122 Cl
4.0941 3.4284 5.4122 Cl
1.9750 -3.4284 1.4597 Cl
1.9750 3.4284 1.4597 Cl
```

Summary:
Its formation energy is -2050 meV/atom. The calculated volume is 219.5 Å³ per cell.

[3]
Compound: Ho2C3
Source: Materials Project
Functional: PBE-GGA
Structure: optimized geometry

```
Ho2C3
1.0
-0.8442 4.4110 5.4890
-3.7790 2.3485 -5.5230
-2.2373 -6.4820 1.8103
Ho C
8 12
Cartesian
-0.6922 0.0280 0.1792 Ho
-2.4337 -3.6225 4.3722 Ho
-2.6485 5.1402 2.1737 Ho
-4.5164 -1.1295 -4.0605 Ho
-2.2264 2.9347 -0.5708 Ho
-2.6269 -2.3037 -1.2991 Ho
-1.3150 -0.3815 3.4670 Ho
-4.1225 0.1667 1.0674 Ho
-2.1256 1.4637 1.8149 C
-3.9044 -0.1986 -1.7046 C
-3.7269 4.8913 -0.1856 C
-4.6452 -3.1895 -2.4696 C
-2.9119 -1.9795 2.4067 C
-2.8825 2.5704 1.8094 C
-5.1497 -3.5285 -1.2745 C
-4.7119 4.2145 -0.7934 C
-2.4074 -1.6405 1.2116 C
-2.9194 0.4782 -1.0968 C
-3.2675 -0.1549 5.4675 C
-2.5106 -1.2617 5.4731 C
```

Summary:
Its formation energy is -266 meV/atom. The calculated volume is 274.6 Å³ per cell.

[4]
Compound: Rb2O
Source: Materials Project
Functional: PBE-GGA
Structure: optimized geometry

```
Rb2O
1.0
6.8798 0.0000 0.0000
0.0000 7.0692 0.0000
0.0000 0.0000 13.5117
Rb O
16 8
Cartesian
0.0067 1.8467 0.3233 Rb
3.4466 1.6879 0.3233 Rb
5.8616 6.2348 2.7582 Rb
2.4217 4.3690 2.7582 Rb
2.4217 0.8344 3.9976 Rb
5.8616 2.7002 3.9976 Rb
0.0067 5.3813 6.4326 Rb
3.4466 5.2226 6.4326 Rb
3.4332 1.8467 7.0791 Rb
6.8731 1.6879 7.0791 Rb
4.4581 6.2348 9.5141 Rb
1.0182 4.3690 9.5141 Rb
4.4581 2.7002 10.7535 Rb
1.0182 0.8344 10.7535 Rb
3.4332 5.3813 13.1884 Rb
6.8731 5.2226 13.1884 Rb
1.5825 6.7891 1.5404 O
5.0224 3.8148 1.5404 O
5.0224 0.2802 5.2154 O
1.5825 3.2545 5.2154 O
1.8574 6.7891 8.2963 O
5.2973 3.8148 8.2963 O
1.8574 3.2545 11.9713 O
5.2973 0.2802 11.9713 O
```

Summary:
Its formation energy is -1119 meV/atom. The calculated volume is 657.1 Å³ per cell.

[5]
Compound: MgTiZnBi2O6
Source: Materials Project
Functional: PBE-GGA
Structure: optimized geometry

```
MgTiZnBi2O6
1.0
5.4070 0.6066 0.6066
0.6133 5.7769 0.7083
0.6133 0.7083 5.7769
Mg Ti Zn Bi O
1 1 1 2 6
Cartesian
2.8118 5.7490 5.7490 Mg
3.7787 3.4429 3.4429 Ti
3.3523 0.7873 0.7874 Zn
6.0772 6.2818 3.9504 Bi
6.0772 3.9504 6.2818 Bi
4.4138 4.8845 4.8845 O
4.5215 4.6948 2.1318 O
1.4043 0.6429 0.6429 O
2.0158 3.5011 3.5011 O
4.0820 2.0886 2.0887 O
4.5215 2.1318 4.6948 O
```

Summary:
Its formation energy is -2006 meV/atom. The calculation puts the energy above the most stable polymorph in this dataset at 141.2 meV/atom. The calculated volume is 174.0 Å³ per cell.

[6]
Compound: CaCrCu3Se4
Source: Materials Project
Functional: PBE-GGA
Structure: optimized geometry

```
CaCrCu3Se4
1.0
5.9446 0.0000 0.0000
0.0000 5.9446 0.0000
0.0000 0.0000 5.9446
Ca Cr Cu Se
1 1 3 4
Cartesian
2.9723 2.9723 2.9723 Ca
0.0000 0.0000 0.0000 Cr
0.0000 2.9723 0.0000 Cu
0.0000 0.0000 2.9723 Cu
2.9723 0.0000 0.0000 Cu
1.3730 1.3730 1.3730 Se
4.5715 4.5715 1.3730 Se
1.3730 4.5715 4.5715 Se
4.5715 1.3730 4.5715 Se
```

Summary:
Its formation energy is -692 meV/atom. The calculated volume is 210.1 Å³ per cell.

[7]
Compound: Mn3W3C
Source: Materials Project
Functional: PBE-GGA
Structure: optimized geometry

```
Mn3W3C
1.0
-0.0442 -7.6299 -1.9423
-6.8027 -3.9549 -0.2670
-2.9582 -2.2808 -6.9308
Mn W C
12 12 4
Cartesian
-1.2256 -1.7332 -1.1425 Mn
-2.2930 -3.8365 -0.8348 Mn
-3.2027 -2.1667 -2.3920 Mn
-4.3608 -10.0631 -8.2432 Mn
-9.0096 -7.5353 -7.0908 Mn
-9.0400 -12.7835 -8.4269 Mn
-7.0052 -11.2147 -3.6595 Mn
-1.0930 -3.3139 -2.9150 Mn
-1.2477 -5.5481 -2.1137 Mn
-2.7048 -2.8736 -4.6079 Mn
-4.6270 -3.7106 -1.2760 Mn
-3.2165 -4.5484 -2.9983 Mn
-4.1483 -8.1149 -6.2782 W
-5.6568 -5.7507 -2.8619 W
-8.1081 -9.2171 -5.1470 W
-9.2824 -10.1224 -7.8982 W
-5.4253 -10.6759 -5.8120 W
-6.5996 -11.5812 -8.5633 W
-4.1307 -5.0861 -5.5072 W
-6.5820 -8.5525 -7.7922 W
-5.6744 -8.7794 -3.6330 W
-2.9740 -7.2095 -3.5270 W
-8.1257 -12.2458 -5.9180 W
-6.8311 -6.6560 -5.6132 W
-6.1282 -8.6660 -5.7126 C
-4.6491 -7.5256 -2.2472 C
-6.1061 -4.8510 -4.7414 C
-2.7269 -6.6885 -5.5791 C
```

Summary:
Its formation energy is -76 meV/atom. The calculated volume is 345.1 Å³ per cell.

[8]
Compound: ThAg3
Source: Materials Project
Functional: PBE-GGA
Structure: optimized geometry

```
ThAg3
1.0
-5.1913 -3.9815 -0.5184
4.7989 -1.4018 4.2516
-2.3082 2.5604 3.4496
Th Ag
2 6
Cartesian
-0.2623 -0.3414 5.2488 Th
-2.4383 -2.4815 1.9340 Th
0.0890 -0.3855 2.0694 Ag
-0.1254 -3.3276 4.1096 Ag
2.7117 -1.1516 4.3930 Ag
-2.7896 -2.4374 5.1134 Ag
-2.5752 0.5047 3.0731 Ag
-5.4123 -1.6713 2.7898 Ag
```

Summary:
Its formation energy is -55 meV/atom. The calculated volume is 181.9 Å³ per cell.

[9]
Compound: LaMg3
Source: Materials Project
Functional: PBE-GGA
Structure: optimized geometry

```
LaMg3
1.0
-3.7534 -3.7534 0.0000
-3.7534 0.0000 -3.7534
0.0000 -3.7534 -3.7534
La Mg
1 3
Cartesian
0.0000 0.0000 0.0000 La
-5.6302 -5.6302 -5.6302 Mg
-3.7534 -3.7534 -3.7534 Mg
-1.8767 -1.8767 -1.8767 Mg
```

Summary:
Its formation energy is -133 meV/atom. The calculated volume is 105.8 Å³ per cell.

[10]
Compound: DyGa4Ni
Source: Materials Project
Functional: PBE-GGA
Structure: optimized geometry

```
DyGa4Ni
1.0
0.6078 -1.9110 3.6046
3.9334 4.9050 1.9372
-6.3209 4.6139 1.1519
Dy Ga Ni
2 8 2
Cartesian
-1.6437 6.4719 3.7083 Dy
-0.1360 1.1361 2.9853 Dy
1.9667 2.4525 0.9686 Ga
0.0000 0.0000 0.0000 Ga
2.3839 3.2523 3.6823 Ga
-4.1636 4.3557 3.0113 Ga
-0.0758 4.0668 2.1688 Ga
-1.7039 3.5412 4.5248 Ga
1.4894 6.0186 2.9397 Ga
-3.2691 1.5894 3.7539 Ga
0.5509 4.3668 4.5823 Ni
-2.3306 3.2412 2.1113 Ni
```

Summary:
Its formation energy is -538 meV/atom. The calculated volume is 207.2 Å³ per cell.

[11]
Compound: AuBrF6
Source: Materials Project
Functional: PBE-GGA
Structure: optimized geometry

```
AuBrF6
1.0
5.7903 0.0000 0.0000
0.0000 5.6035 0.0000
0.0000 1.8417 8.8452
Au Br F
2 2 12
Cartesian
1.4158 3.1437 8.0065 Au
4.3110 4.3015 0.8388 Au
1.4991 3.1371 2.8874 Br
4.3942 4.3082 5.9579 Br
3.4266 5.5777 5.1421 F
0.5314 1.8676 3.7032 F
0.1389 5.1271 5.5085 F
3.0341 2.3181 3.3368 F
3.1846 6.2986 8.1128 F
0.2895 1.1467 0.7325 F
0.0599 5.7849 8.5586 F
2.9551 1.6604 0.2866 F
5.4404 4.1890 2.5082 F
2.5452 3.2563 6.3370 F
2.7268 4.6888 2.0262 F
5.6220 2.7565 6.8191 F
```

Summary:
Its formation energy is -1296 meV/atom. Its piezoelectric modulus e_max is 0.08 C/m². The calculated volume is 287.0 Å³ per cell.

[12]
Compound: TbGa3Ru
Source: Materials Project
Functional: PBE-GGA
Structure: optimized geometry

```
TbGa3Ru
1.0
6.4646 0.0000 0.0000
0.0000 6.4646 0.0000
0.0000 0.0000 6.4646
Tb Ga Ru
3 9 3
Cartesian
3.2323 3.2323 0.0000 Tb
3.2323 0.0000 3.2323 Tb
0.0000 3.2323 3.2323 Tb
3.2323 3.2323 3.2323 Ga
1.3587 1.3587 5.1059 Ga
1.3587 5.1059 1.3587 Ga
5.1059 1.3587 1.3587 Ga
5.1059 5.1059 5.1059 Ga
5.1059 5.1059 1.3587 Ga
5.1059 1.3587 5.1059 Ga
1.3587 5.1059 5.1059 Ga
1.3587 1.3587 1.3587 Ga
0.0000 0.0000 3.2323 Ru
0.0000 3.2323 0.0000 Ru
3.2323 0.0000 0.0000 Ru
```

Summary:
Its formation energy is -588 meV/atom. The calculated volume is 270.2 Å³ per cell.

[13]
Compound: BaRu2Xe5F22
Source: Materials Project
Functional: PBE-GGA
Structure: optimized geometry

```
BaRu2Xe5F22
1.0
3.6642 -5.9599 7.0594
1.7620 2.9681 8.6983
-5.3860 -3.6193 6.6260
Ba Ru Xe F
1 2 5 22
Cartesian
0.0000 0.0000 0.0000 Ba
-0.8609 -4.7896 6.8427 Ru
0.8810 1.4840 4.3491 Ru
0.0201 -3.3055 11.1918 Xe
-1.8120 -0.3256 7.6621 Xe
1.8321 -2.9799 3.5297 Xe
2.7131 -1.4959 7.8788 Xe
-2.6930 -1.8096 3.3130 Xe
-0.4960 -5.1643 11.9307 F
0.5362 -1.4467 10.4530 F
-0.1706 0.6396 8.4897 F
0.2107 -7.2507 13.8940 F
-2.4034 -7.4024 11.6862 F
2.4436 0.7913 10.6975 F
-2.6466 -3.0491 14.3317 F
-1.8679 -0.2444 13.2169 F
2.6868 -3.5620 8.0520 F
1.9081 -6.3666 9.1667 F
-2.6247 -4.1612 7.1916 F
4.4506 -3.7506 13.1671 F
-4.4104 -2.8605 9.2166 F
2.6648 -2.4499 15.1921 F
0.2156 -3.4199 14.7943 F
-2.8783 -1.2224 10.6545 F
3.5893 -2.9727 10.7689 F
-0.8462 -5.6071 8.5497 F
-0.1754 -3.1911 7.5894 F
2.9185 -5.3887 11.7292 F
-3.5491 -3.6384 11.6148 F
0.8864 -1.0039 13.8340 F
```

Summary:
Its formation energy is -1676 meV/atom. The calculated volume is 604.0 Å³ per cell.

[14]
Compound: TbB4Ir4
Source: Materials Project
Functional: PBE-GGA
Structure: optimized geometry

```
TbB4Ir4
1.0
-4.3379 4.3574 4.5415
-6.2442 -2.2877 -3.7692
-0.4122 -3.0542 2.5366
Tb B Ir
2 8 8
Cartesian
-5.2910 1.0349 0.3861 Tb
-0.2061 -1.5271 1.2683 Tb
-5.7571 0.3184 5.0288 B
-5.5575 -3.6763 0.2515 B
-2.2399 0.5113 0.9514 B
-8.4340 0.8778 0.3862 B
-7.6452 0.6997 2.0406 B
-3.2572 -1.0035 0.7030 B
-6.5960 -2.1578 0.1704 B
-4.4902 0.4927 3.7038 B
-8.3499 -0.3388 3.8075 Ir
-2.9636 -3.0107 1.4657 Ir
-7.0825 -0.9003 -1.5264 Ir
-3.5926 2.2809 2.8710 Ir
-6.2424 1.5843 3.3250 Ir
-4.6589 -1.8796 -0.5884 Ir
-2.9458 -0.5357 2.7254 Ir
-8.1415 -1.1379 1.1559 Ir
```

Summary:
Its formation energy is -565 meV/atom. The calculated volume is 233.2 Å³ per cell.

[15]
Compound: Sr2Ti6N2O11
Source: Materials Project
Functional: PBE-GGA
Structure: optimized geometry

```
Sr2Ti6N2O11
1.0
-1.0700 -1.8718 -7.5003
1.9852 0.4766 -7.5322
5.6788 -7.3945 -0.4900
Sr Ti N O
2 6 2 11
Cartesian
1.7594 -2.4007 -8.2157 Sr
4.7088 -6.2219 -7.0482 Sr
5.2236 -6.8261 -2.2371 Ti
3.4009 -4.4615 -2.7298 Ti
1.5472 -2.0613 -3.5542 Ti
5.0596 -6.7429 -11.8036 Ti
3.2244 -4.3676 -12.7078 Ti
1.2404 -1.7931 -13.1850 Ti
4.4801 -5.8803 -3.8192 N
5.8890 -7.8386 -13.0307 N
4.0805 -5.3255 -1.2412 O
2.2865 -3.0027 -2.0634 O
0.6773 -0.9145 -2.4487 O
5.6677 -7.5085 -9.9250 O
3.8449 -5.1475 -10.6901 O
2.0685 -2.8474 -11.4907 O
2.6984 -3.5738 -4.6543 O
1.0186 -1.3992 -5.4383 O
4.2669 -5.7329 -13.3596 O
2.5915 -3.5643 -14.1733 O
0.9663 -1.4612 -15.0040 O
```

Summary:
Its formation energy is -3150 meV/atom. The calculation puts the energy above the most stable polymorph in this dataset at 3.0 meV/atom. The calculated volume is 268.5 Å³ per cell.